No. 1
The following is a r²SCAN calculation of a geometry-optimized Ce2TeO2 structure, from the Materials Project.

Summary:
energy relative to the elements = -3.212 eV/atom

POSCAR file:
```
Ce2TeO2
1.0
3.896 0.000 -1.171
-0.352 3.880 -1.171
-0.003 -0.003 7.054
O Te Ce
2 1 2
direct
0.250 0.750 0.500 O
0.750 0.250 0.500 O
0.000 0.000 0.000 Te
0.658 0.658 0.315 Ce
0.342 0.342 0.685 Ce
```

***

No. 2
The following is a r²SCAN calculation of a geometry-optimized CeTe2O6 structure, from the Materials Project.

Summary:
energy relative to the elements = -1.986 eV/atom

POSCAR file:
```
CeTe2O6
1.0
-4.751 -9.156 4.285
6.380 -2.525 1.679
3.966 1.391 7.370
O Te Ce
24 8 4
direct
0.098 0.611 0.960 O
0.596 0.858 0.179 O
0.902 0.389 0.040 O
0.900 0.002 0.084 O
0.600 0.002 0.584 O
0.252 0.972 0.172 O
0.096 0.142 0.321 O
0.721 0.562 0.117 O
0.248 0.972 0.672 O
0.100 0.998 0.916 O
0.748 0.028 0.828 O
0.023 0.474 0.704 O
0.904 0.858 0.679 O
0.404 0.142 0.821 O
0.752 0.028 0.328 O
0.221 0.438 0.383 O
0.598 0.389 0.540 O
0.523 0.526 0.796 O
0.402 0.611 0.460 O
0.279 0.438 0.883 O
0.400 0.998 0.416 O
0.779 0.562 0.617 O
0.477 0.474 0.204 O
0.977 0.526 0.296 O
0.775 0.197 0.062 Te
0.578 0.729 0.037 Te
0.275 0.803 0.438 Te
0.725 0.197 0.562 Te
0.422 0.271 0.963 Te
0.078 0.271 0.463 Te
0.922 0.729 0.537 Te
0.225 0.803 0.938 Te
0.092 0.256 0.004 Ce
0.908 0.744 0.996 Ce
0.408 0.256 0.504 Ce
0.592 0.744 0.496 Ce
```

***

No. 3
The following is a r²SCAN calculation of a geometry-optimized CeTh2O6 structure, from the Materials Project.

Summary:
energy relative to the elements = -4.066 eV/atom

POSCAR file:
```
CeTh2O6
1.0
-3.357 -1.463 1.420
-1.403 -5.572 -3.626
2.696 -4.545 1.692
O Th Ce
6 2 1
direct
0.494 0.004 0.745 O
0.165 0.663 0.922 O
0.830 0.333 0.579 O
0.829 0.334 0.088 O
0.494 0.004 0.250 O
0.165 0.663 0.417 O
0.995 0.002 0.999 Th
0.664 0.665 0.668 Th
0.329 0.334 0.334 Ce
```

***

No. 4
The following is a r²SCAN calculation of a geometry-optimized CeTh2O6 structure, from the Materials Project.

Summary:
energy relative to the elements = -4.067 eV/atom

POSCAR file:
```
CeTh2O6
1.0
1.964 -3.401 0.000
1.964 3.401 0.000
0.000 0.000 9.593
Ce O Th
1 6 2
direct
0.000 0.000 0.000 Ce
0.000 0.000 0.755 O
0.000 0.000 0.245 O
0.667 0.333 0.585 O
0.333 0.667 0.921 O
0.667 0.333 0.079 O
0.333 0.667 0.415 O
0.333 0.667 0.670 Th
0.667 0.333 0.330 Th
```